Na6CaTi7P12O48: relaxed, PBE.

* crystal system: triclinic
* energy: -7.506 eV/atom

Cell lengths 17.508, 8.740, 22.137 Å; angles 90.01, 89.98, 119.96 degrees
Fractional positions:
Na  0.688  0.375  0.246
Na  0.998  0.628  0.247
Na  0.995  0.367  0.744
Na  0.495  0.367  0.744
Na  0.190  0.005  0.744
Na  0.690  0.005  0.744
Na  0.000  0.000  0.499
Na  0.501  0.001  0.498
Na  0.001  0.001  0.001
Na  0.500  0.001  0.001
Na  0.333  0.349  0.835
Na  0.833  0.349  0.836
Na  0.333  0.333  0.335
Na  0.833  0.316  0.336
Na  0.174  0.667  0.165
Na  0.669  0.689  0.164
Na  0.176  0.663  0.659
Na  0.676  0.663  0.659
Ca  0.333  0.343  0.681
Ca  0.833  0.343  0.681
Ca  0.833  0.321  0.183
Ti  0.004  0.005  0.356
Ti  0.495  0.996  0.356
Ti  0.999  0.999  0.859
Ti  0.500  0.999  0.858
Ti  0.998  0.997  0.642
Ti  0.499  0.997  0.642
Ti  0.999  0.003  0.145
Ti  0.500  0.998  0.145
Ti  0.333  0.335  0.187
Ti  0.333  0.332  0.980
Ti  0.834  0.332  0.985
Ti  0.334  0.334  0.484
Ti  0.833  0.334  0.484
Ti  0.168  0.669  0.021
Ti  0.664  0.662  0.019
Ti  0.166  0.667  0.516
Ti  0.666  0.667  0.515
Ti  0.172  0.667  0.313
Ti  0.665  0.673  0.314
Ti  0.169  0.665  0.815
Ti  0.670  0.666  0.815
P  0.145  0.001  0.250
P  0.637  0.989  0.252
P  0.357  0.714  0.250
P  0.856  0.725  0.252
P  0.006  0.291  0.253
P  0.498  0.284  0.250
P  0.139  0.287  0.753
P  0.639  0.287  0.753
P  0.003  0.719  0.753
P  0.503  0.719  0.753
P  0.356  0.985  0.752
P  0.856  0.986  0.752
P  0.485  0.336  0.584
P  0.985  0.336  0.584
P  0.183  0.031  0.584
P  0.684  0.031  0.584
P  0.331  0.635  0.581
P  0.831  0.634  0.581
P  0.476  0.620  0.083
P  0.984  0.635  0.084
P  0.334  0.047  0.084
P  0.832  0.028  0.082
P  0.191  0.336  0.084
P  0.682  0.331  0.084
P  0.311  0.665  0.919
P  0.810  0.661  0.918
P  0.022  0.380  0.918
P  0.519  0.378  0.915
P  0.169  0.958  0.916
P  0.668  0.959  0.917
P  0.310  0.960  0.415
P  0.812  0.960  0.415
P  0.170  0.378  0.416
P  0.668  0.376  0.413
P  0.021  0.661  0.413
P  0.518  0.663  0.416
O  0.102  0.022  0.308
O  0.585  0.003  0.307
O  0.409  0.797  0.308
O  0.915  0.825  0.307
O  0.484  0.170  0.307
O  0.004  0.186  0.309
O  0.089  0.180  0.810
O  0.589  0.180  0.810
O  0.501  0.818  0.811
O  0.001  0.819  0.811
O  0.410  0.997  0.809
O  0.910  0.998  0.809
O  0.401  0.974  0.694
O  0.901  0.974  0.694
O  0.084  0.197  0.695
O  0.584  0.197  0.695
O  0.012  0.828  0.696
O  0.512  0.827  0.695
O  0.401  0.830  0.194
O  0.902  0.829  0.193
O  0.010  0.196  0.194
O  0.514  0.196  0.194
O  0.083  0.971  0.195
O  0.586  0.976  0.193
O  0.459  0.374  0.645
O  0.958  0.374  0.645
O  0.229  0.082  0.645
O  0.729  0.082  0.645
O  0.308  0.537  0.640
O  0.808  0.537  0.640
O  0.432  0.504  0.139
O  0.958  0.544  0.145
O  0.320  0.137  0.140
O  0.809  0.080  0.140
O  0.249  0.363  0.140
O  0.728  0.372  0.145
O  0.234  0.307  0.027
O  0.738  0.309  0.033
O  0.419  0.530  0.026
O  0.918  0.524  0.033
O  0.347  0.163  0.027
O  0.845  0.158  0.029
O  0.238  0.166  0.533
O  0.738  0.166  0.533
O  0.345  0.531  0.529
O  0.846  0.532  0.529
O  0.418  0.313  0.533
O  0.918  0.313  0.533
O  0.268  0.692  0.975
O  0.763  0.686  0.972
O  0.084  0.473  0.972
O  0.578  0.472  0.970
O  0.160  0.841  0.971
O  0.653  0.837  0.971
O  0.265  0.842  0.470
O  0.766  0.842  0.470
O  0.156  0.468  0.471
O  0.654  0.471  0.467
O  0.081  0.689  0.467
O  0.578  0.692  0.471
O  0.064  0.637  0.354
O  0.565  0.639  0.360
O  0.253  0.869  0.358
O  0.753  0.867  0.359
O  0.181  0.494  0.359
O  0.681  0.487  0.355
O  0.065  0.492  0.859
O  0.563  0.489  0.857
O  0.181  0.872  0.858
O  0.680  0.871  0.859
O  0.252  0.641  0.862
O  0.753  0.639  0.860
O  0.012  0.829  0.408
O  0.508  0.828  0.411
O  0.402  0.977  0.410
O  0.905  0.981  0.409
O  0.087  0.192  0.412
O  0.584  0.191  0.408
O  0.011  0.193  0.913
O  0.509  0.192  0.912
O  0.086  0.977  0.913
O  0.586  0.981  0.912
O  0.404  0.829  0.913
O  0.903  0.827  0.912
O  0.488  0.161  0.586
O  0.988  0.162  0.586
O  0.093  0.024  0.588
O  0.593  0.024  0.588
O  0.419  0.815  0.586
O  0.919  0.815  0.586
O  0.483  0.802  0.090
O  0.991  0.819  0.085
O  0.417  0.030  0.091
O  0.920  0.023  0.085
O  0.099  0.171  0.091
O  0.591  0.156  0.086
O  0.346  0.150  0.752
O  0.846  0.150  0.752
O  0.228  0.299  0.754
O  0.728  0.299  0.753
O  0.425  0.534  0.754
O  0.925  0.534  0.754
O  0.347  0.529  0.243
O  0.847  0.542  0.252
O  0.416  0.306  0.243
O  0.927  0.317  0.255
O  0.236  0.167  0.242
O  0.727  0.156  0.254
O  0.319  0.497  0.923
O  0.819  0.495  0.924
O  0.428  0.361  0.921
O  0.931  0.366  0.925
O  0.252  0.143  0.922
O  0.752  0.142  0.924
O  0.320  0.144  0.423
O  0.820  0.143  0.423
O  0.252  0.360  0.423
O  0.750  0.356  0.423
O  0.428  0.495  0.423
O  0.929  0.496  0.422
O  0.182  0.502  0.077
O  0.666  0.484  0.068
O  0.076  0.658  0.069
O  0.569  0.644  0.077
O  0.251  0.863  0.077
O  0.754  0.842  0.067
O  0.166  0.845  0.569
O  0.668  0.846  0.569
O  0.256  0.671  0.567
O  0.756  0.670  0.566
O  0.077  0.491  0.569
O  0.578  0.489  0.569
O  0.152  0.831  0.254
O  0.643  0.819  0.256
O  0.265  0.697  0.255
O  0.763  0.706  0.255
O  0.092  0.477  0.254
O  0.584  0.467  0.256
O  0.145  0.471  0.757
O  0.646  0.471  0.756
O  0.090  0.707  0.756
O  0.590  0.708  0.755
O  0.263  0.817  0.756
O  0.762  0.818  0.755

Na3Nb7P4O29: relaxed, PBE.

* crystal system: monoclinic
* energy: -8.018 eV/atom

Cell lengths 16.909, 16.909, 13.489 Å; angles 82.41, 82.41, 18.58 degrees
Fractional positions:
Na  0.377  0.358  0.612
Na  0.642  0.623  0.388
Na  0.624  0.641  0.884
Na  0.359  0.376  0.116
Na  0.108  0.086  0.151
Na  0.914  0.892  0.849
Nb  0.183  0.182  0.275
Nb  0.818  0.817  0.725
Nb  0.822  0.817  0.230
Nb  0.183  0.178  0.770
Nb  0.255  0.290  0.571
Nb  0.710  0.745  0.429
Nb  0.752  0.702  0.928
Nb  0.298  0.248  0.072
Nb  0.454  0.451  0.430
Nb  0.549  0.546  0.570
Nb  0.550  0.541  0.073
Nb  0.459  0.450  0.927
Nb  0.999  0.997  0.254
Nb  0.003  0.001  0.746
P  0.338  0.366  0.370
P  0.634  0.662  0.630
P  0.663  0.634  0.129
P  0.366  0.337  0.871
P  0.080  0.077  0.403
P  0.923  0.920  0.597
P  0.919  0.924  0.096
P  0.076  0.081  0.904
O  0.376  0.418  0.388
O  0.582  0.624  0.612
O  0.625  0.581  0.112
O  0.419  0.375  0.888
O  0.921  0.474  0.336
O  0.526  0.079  0.664
O  0.072  0.533  0.164
O  0.467  0.928  0.836
O  0.078  0.163  0.343
O  0.837  0.922  0.657
O  0.922  0.836  0.155
O  0.164  0.078  0.845
O  0.382  0.271  0.471
O  0.729  0.618  0.529
O  0.614  0.733  0.029
O  0.267  0.386  0.971
O  0.290  0.167  0.179
O  0.833  0.710  0.821
O  0.709  0.833  0.322
O  0.167  0.291  0.678
O  0.727  0.131  0.518
O  0.869  0.273  0.482
O  0.269  0.875  0.985
O  0.125  0.731  0.015
O  0.424  0.962  0.373
O  0.038  0.576  0.627
O  0.575  0.038  0.128
O  0.962  0.425  0.872
O  0.186  0.663  0.552
O  0.337  0.814  0.448
O  0.813  0.339  0.947
O  0.661  0.187  0.053
O  0.183  0.759  0.356
O  0.241  0.817  0.644
O  0.824  0.237  0.144
O  0.763  0.176  0.856
O  0.683  0.265  0.323
O  0.735  0.317  0.677
O  0.310  0.745  0.176
O  0.255  0.690  0.824
O  0.471  0.831  0.211
O  0.169  0.529  0.789
O  0.523  0.173  0.288
O  0.827  0.477  0.712
O  0.936  0.381  0.161
O  0.619  0.064  0.839
O  0.067  0.614  0.338
O  0.386  0.933  0.662
O  0.038  0.465  0.476
O  0.535  0.962  0.524
O  0.962  0.534  0.023
O  0.466  0.038  0.977
O  0.020  0.074  0.326
O  0.926  0.980  0.674
O  0.982  0.925  0.170
O  0.075  0.018  0.830
O  0.514  0.486  0.500
O  0.484  0.516  0.000

Rb3Sm: relaxed, PBE.

* crystal system: cubic
* energy: -1.305 eV/atom
* polymorph energy (0 for the lowest one): 0.00 eV per formula unit

Cell lengths 6.431, 6.431, 6.431 Å; angles 90.00, 90.00, 90.00 degrees
Fractional positions:
Rb  0.000  0.500  0.500
Rb  0.500  0.000  0.500
Rb  0.500  0.500  0.000
Sm  0.000  0.000  0.000

NdVSb3: relaxed, PBE.

* crystal system: orthorhombic
* energy: -5.201 eV/atom
* polymorph energy (0 for the lowest one): 1.69 eV per formula unit

Cell lengths 10.008, 6.546, 8.853 Å; angles 90.00, 90.00, 90.00 degrees
Fractional positions:
Nd  0.250  0.484  0.267
Nd  0.250  0.984  0.733
Nd  0.750  0.516  0.733
Nd  0.750  0.016  0.267
V  0.000  0.750  0.970
V  0.000  0.250  0.030
V  0.500  0.750  0.970
V  0.500  0.250  0.030
Sb  0.500  0.750  0.284
Sb  0.750  0.502  0.384
Sb  0.750  0.455  0.069
Sb  0.000  0.750  0.284
Sb  0.000  0.250  0.716
Sb  0.250  0.545  0.931
Sb  0.250  0.498  0.616
Sb  0.250  0.045  0.069
Sb  0.250  0.998  0.384
Sb  0.500  0.250  0.716
Sb  0.750  0.002  0.616
Sb  0.750  0.955  0.931